# Na2YScSiS2O12 | the Materials Project database | GGA-PBE | relaxed
# Uncorrected energy, eV per atom: -6.986
# Size of the total moment, μB/atom: 0.0000
data_Na2YScSiS2O12
_chemical_formula_sum 'Na12 Y6 Sc6 Si6 S12 O72'
_cell_length_a 9.158
_cell_length_b 9.169
_cell_length_c 23.472
_cell_angle_alpha 89.90
_cell_angle_beta 89.73
_cell_angle_gamma 60.13
_symmetry_space_group_name_H-M 'P 1'
_symmetry_Int_Tables_number 1
loop_
_symmetry_equiv_pos_as_xyz
'x,y,z'
loop_
_atom_site_label
_atom_site_type_symbol
_atom_site_fract_x
_atom_site_fract_y
_atom_site_fract_z
_atom_site_occupancy
Na1 Na 0.000 0.000 0.000 1
Na2 Na 0.002 0.331 0.760 1
Na3 Na 0.284 0.032 0.843 1
Na4 Na 0.320 0.701 0.926 1
Na5 Na 0.331 0.688 0.423 1
Na6 Na 0.339 0.045 0.170 1
Na7 Na 0.631 0.370 0.498 1
Na8 Na 0.642 0.011 0.591 1
Na9 Na 0.647 0.014 0.092 1
Na10 Na 0.659 0.658 0.340 1
Na11 Na 0.673 0.708 0.666 1
Na12 Na 0.970 0.370 0.257 1
Y1 Y 0.004 0.355 0.610 1
Y2 Y 0.309 0.712 0.780 1
Y3 Y 0.329 0.713 0.573 1
Y4 Y 0.342 0.700 0.075 1
Y5 Y 0.659 0.024 0.440 1
Y6 Y 0.665 0.037 0.744 1
Sc1 Sc 0.351 0.676 0.275 1
Sc2 Sc 0.657 0.027 0.946 1
Sc3 Sc 0.669 0.034 0.243 1
Sc4 Sc 0.977 0.369 0.405 1
Sc5 Sc 0.991 0.371 0.110 1
Sc6 Sc 0.996 0.351 0.910 1
Si1 Si 0.288 0.076 0.010 1
Si2 Si 0.330 0.002 0.680 1
Si3 Si 0.635 0.698 0.179 1
Si4 Si 0.659 0.328 0.344 1
Si5 Si 0.699 0.660 0.509 1
Si6 Si 0.954 0.035 0.850 1
S1 S 0.027 0.695 0.675 1
S2 S 0.032 0.991 0.176 1
S3 S 0.287 0.363 0.505 1
S4 S 0.327 0.398 0.177 1
S5 S 0.358 0.030 0.338 1
S6 S 0.363 0.323 0.847 1
S7 S 0.620 0.402 0.675 1
S8 S 0.668 0.730 0.845 1
S9 S 0.706 0.358 0.009 1
S10 S 0.962 0.731 0.340 1
S11 S 0.988 0.656 0.008 1
S12 S 0.992 0.071 0.506 1
O1 O 0.003 0.558 0.957 1
O2 O 0.013 0.156 0.455 1
O3 O 0.024 0.159 0.172 1
O4 O 0.100 0.895 0.122 1
O5 O 0.113 0.705 0.624 1
O6 O 0.128 0.675 0.727 1
O7 O 0.129 0.713 0.331 1
O8 O 0.138 0.898 0.508 1
O9 O 0.140 0.676 0.013 1
O10 O 0.144 0.901 0.225 1
O11 O 0.148 0.868 0.849 1
O12 O 0.162 0.187 0.676 1
O13 O 0.168 0.170 0.955 1
O14 O 0.176 0.375 0.173 1
O15 O 0.189 0.370 0.455 1
O16 O 0.191 0.344 0.853 1
O17 O 0.193 0.183 0.347 1
O18 O 0.193 0.185 0.069 1
O19 O 0.213 0.343 0.559 1
O20 O 0.291 0.893 0.012 1
O21 O 0.302 0.518 0.508 1
O22 O 0.303 0.504 0.228 1
O23 O 0.316 0.912 0.740 1
O24 O 0.337 0.879 0.332 1
O25 O 0.348 0.475 0.125 1
O26 O 0.351 0.489 0.842 1
O27 O 0.353 0.879 0.626 1
O28 O 0.433 0.222 0.794 1
O29 O 0.441 0.052 0.287 1
O30 O 0.463 0.216 0.503 1
O31 O 0.469 0.232 0.896 1
O32 O 0.470 0.993 0.389 1
O33 O 0.477 0.225 0.183 1
O34 O 0.478 0.051 0.003 1
O35 O 0.493 0.522 0.336 1
O36 O 0.505 0.743 0.125 1
O37 O 0.509 0.004 0.680 1
O38 O 0.513 0.713 0.842 1
O39 O 0.517 0.660 0.507 1
O40 O 0.524 0.478 0.622 1
O41 O 0.530 0.505 0.725 1
O42 O 0.533 0.503 0.013 1
O43 O 0.542 0.671 0.236 1
O44 O 0.636 0.256 0.405 1
O45 O 0.637 0.849 0.893 1
O46 O 0.642 0.874 0.187 1
O47 O 0.646 0.230 0.678 1
O48 O 0.672 0.849 0.505 1
O49 O 0.678 0.203 0.291 1
O50 O 0.686 0.803 0.790 1
O51 O 0.698 0.199 0.006 1
O52 O 0.784 0.382 0.957 1
O53 O 0.786 0.396 0.673 1
O54 O 0.795 0.573 0.569 1
O55 O 0.804 0.538 0.454 1
O56 O 0.808 0.341 0.060 1
O57 O 0.818 0.565 0.853 1
O58 O 0.819 0.529 0.169 1
O59 O 0.826 0.357 0.346 1
O60 O 0.833 0.064 0.502 1
O61 O 0.837 0.830 0.005 1
O62 O 0.845 0.815 0.291 1
O63 O 0.853 0.051 0.792 1
O64 O 0.855 0.020 0.906 1
O65 O 0.858 0.849 0.679 1
O66 O 0.860 0.017 0.184 1
O67 O 0.888 0.829 0.393 1
O68 O 0.968 0.576 0.060 1
O69 O 0.974 0.562 0.346 1
O70 O 0.976 0.165 0.559 1
O71 O 0.984 0.201 0.851 1
O72 O 0.999 0.549 0.674 1